Density functional theory data (PBE) for a relaxed Tb crystal.

Lattice parameters (Å, degrees): 3.4814 3.4814 3.4814 109.47 109.47 109.47
Element x y z (fractional)
Tb 0.0000 0.0000 0.0000

The value obtained for the energy above the most stable polymorph in this dataset is 148.0 meV/atom. Its formation energy is 148 meV per atom.


Density functional theory data (PBE) for a relaxed Tb crystal.

Lattice parameters (Å, degrees): 3.5609 3.5609 3.5609 60.00 60.00 60.00
Element x y z (fractional)
Tb 0.0000 0.0000 0.0000

The value obtained for the energy above the most stable polymorph in this dataset is 18.9 meV/atom. Its formation energy is 19 meV per atom.


Density functional theory data (PBE) for a relaxed Tb crystal.

Lattice parameters (Å, degrees): 8.8990 8.8990 8.8990 23.23 23.23 23.23
Element x y z (fractional)
Tb 0.0000 0.0000 0.0000
Tb 0.2223 0.2223 0.2223
Tb 0.7777 0.7777 0.7777

The value obtained for the energy above the most stable polymorph in this dataset is 0.0 meV/atom. Its formation energy is 0 meV per atom.


Density functional theory data (PBE) for a relaxed TbTc2 crystal.

Lattice parameters (Å, degrees): 5.3905 5.3905 8.9306 90.00 90.00 120.00
Element x y z (fractional)
Tb 0.3333 0.6667 0.0633
Tb 0.3333 0.6667 0.4367
Tb 0.6667 0.3333 0.5633
Tb 0.6667 0.3333 0.9367
Tc 0.0000 0.0000 0.0000
Tc 0.0000 0.0000 0.5000
Tc 0.1712 0.3424 0.7500
Tc 0.1712 0.8288 0.7500
Tc 0.3424 0.1712 0.2500
Tc 0.6576 0.8288 0.7500
Tc 0.8288 0.1712 0.2500
Tc 0.8288 0.6576 0.2500

Its formation energy is -159 meV per atom.


Density functional theory data (PBE) for a relaxed TbTe2 crystal.

Lattice parameters (Å, degrees): 4.4552 4.4552 8.9420 90.00 90.00 90.00
Element x y z (fractional)
Tb 0.2500 0.2500 0.2284
Tb 0.7500 0.7500 0.7716
Te 0.2500 0.2500 0.8716
Te 0.2500 0.7500 0.5000
Te 0.7500 0.2500 0.5000
Te 0.7500 0.7500 0.1284

For the MP2020-corrected energy, the calculation gives -5.090 eV per atom. Its formation energy is -1449 meV per atom.


Density functional theory data (PBE) for a relaxed Tb2Te3 crystal.

Lattice parameters (Å, degrees): 14.6489 13.9783 7.5759 79.61 69.81 30.58
Element x y z (fractional)
Tb 0.0424 0.0424 0.2076
Tb 0.1251 0.1251 0.6249
Tb 0.2076 0.2076 0.0424
Tb 0.3751 0.3751 0.8749
Tb 0.6249 0.6249 0.1251
Tb 0.7924 0.7924 0.9576
Tb 0.8749 0.8749 0.3751
Tb 0.9576 0.9576 0.7924
Te 0.0438 0.5408 0.2062
Te 0.1258 0.6242 0.6242
Te 0.2062 0.7092 0.0438
Te 0.2908 0.7938 0.4592
Te 0.3758 0.8742 0.8742
Te 0.4592 0.9562 0.2908
Te 0.5408 0.0438 0.7092
Te 0.6242 0.1258 0.1258
Te 0.7092 0.2062 0.5408
Te 0.7938 0.2908 0.9562
Te 0.8742 0.3758 0.3758
Te 0.9562 0.4592 0.7938

For the MP2020-corrected energy, the calculation gives -5.410 eV per atom. Its formation energy is -1670 meV per atom.


Density functional theory data (PBE) for a relaxed TbUTe4 crystal.

Lattice parameters (Å, degrees): 8.0049 8.0049 8.0049 149.46 135.17 55.21
Element x y z (fractional)
Tb 0.0000 0.0000 0.0000
U 0.2757 0.2757 0.0000
Te 0.3892 0.6413 0.7479
Te 0.4327 0.9327 0.5000
Te 0.8411 0.3411 0.5000
Te 0.8933 0.6413 0.2521

For the MP2020-corrected energy, the calculation gives -5.985 eV per atom. Its formation energy is -1235 meV per atom.


Density functional theory data (PBE) for a relaxed TbUTe3 crystal.

Lattice parameters (Å, degrees): 12.1113 4.2756 11.9148 90.00 90.00 90.00
Element x y z (fractional)
Tb 0.0145 0.2500 0.1876
Tb 0.4855 0.7500 0.6876
Tb 0.5145 0.2500 0.3124
Tb 0.9855 0.7500 0.8124
U 0.1948 0.2500 0.5013
U 0.3052 0.7500 0.0013
U 0.6948 0.2500 0.9987
U 0.8052 0.7500 0.4987
Te 0.0437 0.7500 0.3751
Te 0.1186 0.2500 0.9477
Te 0.2266 0.7500 0.7016
Te 0.2734 0.2500 0.2016
Te 0.3814 0.7500 0.4477
Te 0.4563 0.2500 0.8751
Te 0.5437 0.7500 0.1249
Te 0.6186 0.2500 0.5523
Te 0.7266 0.7500 0.7984
Te 0.7734 0.2500 0.2984
Te 0.8814 0.7500 0.0523
Te 0.9563 0.2500 0.6249

For the MP2020-corrected energy, the calculation gives -6.341 eV per atom. Its formation energy is -1269 meV per atom.


Density functional theory data (PBE) for a relaxed TbTh crystal.

Lattice parameters (Å, degrees): 6.1776 6.1776 6.1776 33.44 33.44 33.44
Element x y z (fractional)
Tb 0.0000 0.0000 0.0000
Th 0.5000 0.5000 0.5000

Its formation energy is 25 meV per atom.


Density functional theory data (PBE) for a relaxed TbTh3 crystal.

Lattice parameters (Å, degrees): 5.0429 5.0429 5.0429 90.00 90.00 90.00
Element x y z (fractional)
Tb 0.0000 0.0000 0.0000
Th 0.0000 0.5000 0.5000
Th 0.5000 0.0000 0.5000
Th 0.5000 0.5000 0.0000

Its formation energy is 33 meV per atom.


Density functional theory data (PBE) for a relaxed TbTl crystal.

Lattice parameters (Å, degrees): 3.8163 3.8163 3.8163 90.00 90.00 90.00
Element x y z (fractional)
Tb 0.0000 0.0000 0.0000
Tl 0.5000 0.5000 0.5000

Its formation energy is -347 meV per atom.


Density functional theory data (PBE) for a relaxed Tb5Tl3 crystal.

Lattice parameters (Å, degrees): 9.2632 9.2632 9.2632 128.18 128.18 76.34
Element x y z (fractional)
Tb 0.0000 0.0000 0.0000
Tb 0.0111 0.5111 0.8242
Tb 0.1868 0.0111 0.5000
Tb 0.3132 0.8132 0.8242
Tb 0.4889 0.3132 0.5000
Tb 0.5000 0.5000 0.0000
Tb 0.5111 0.6868 0.5000
Tb 0.6868 0.1868 0.1758
Tb 0.8132 0.9889 0.5000
Tb 0.9889 0.4889 0.1758
Tl 0.1337 0.3663 0.5000
Tl 0.2500 0.2500 0.0000
Tl 0.3663 0.8663 0.2326
Tl 0.6337 0.1337 0.7674
Tl 0.7500 0.7500 0.0000
Tl 0.8663 0.6337 0.5000

The value obtained for the energy above the most stable polymorph in this dataset is 28.2 meV/atom. Its formation energy is -281 meV per atom. As for the total magnetization: 0.38 μB/f.u.


Density functional theory data (PBE) for a relaxed Tb5Tl3 crystal.

Lattice parameters (Å, degrees): 9.1811 9.1811 9.1811 96.61 96.61 140.34
Element x y z (fractional)
Tb 0.0828 0.7829 0.8657
Tb 0.2171 0.0828 0.2999
Tb 0.2500 0.7500 0.5000
Tb 0.2829 0.5828 0.8657
Tb 0.4172 0.2829 0.7001
Tb 0.5828 0.7171 0.2999
Tb 0.7171 0.4172 0.1343
Tb 0.7500 0.2500 0.5000
Tb 0.7829 0.9172 0.7001
Tb 0.9172 0.2171 0.1343
Tl 0.1614 0.3386 0.5000
Tl 0.2500 0.2500 0.0000
Tl 0.3386 0.8386 0.1772
Tl 0.6614 0.1614 0.8228
Tl 0.7500 0.7500 0.0000
Tl 0.8386 0.6614 0.5000

The value obtained for the energy above the most stable polymorph in this dataset is 0.0 meV/atom. Its formation energy is -309 meV per atom. As for the total magnetization: 0.24 μB/f.u.


Density functional theory data (PBE) for a relaxed Tb2Tl crystal.

Lattice parameters (Å, degrees): 5.4379 5.4379 6.7637 90.00 90.00 120.00
Element x y z (fractional)
Tb 0.0000 0.0000 0.0000
Tb 0.0000 0.0000 0.5000
Tb 0.3333 0.6667 0.2500
Tb 0.6667 0.3333 0.7500
Tl 0.3333 0.6667 0.7500
Tl 0.6667 0.3333 0.2500

Its formation energy is -263 meV per atom.


Density functional theory data (PBE) for a relaxed Tb5Tl3 crystal.

Lattice parameters (Å, degrees): 9.0863 9.0863 6.6714 90.00 90.00 120.00
Element x y z (fractional)
Tb 0.0000 0.2348 0.2500
Tb 0.0000 0.7652 0.7500
Tb 0.2348 0.0000 0.2500
Tb 0.2348 0.2348 0.7500
Tb 0.3333 0.6667 0.0000
Tb 0.3333 0.6667 0.5000
Tb 0.6667 0.3333 0.0000
Tb 0.6667 0.3333 0.5000
Tb 0.7652 0.0000 0.7500
Tb 0.7652 0.7652 0.2500
Tl 0.0000 0.4023 0.7500
Tl 0.0000 0.5977 0.2500
Tl 0.4023 0.0000 0.7500
Tl 0.4023 0.4023 0.2500
Tl 0.5977 0.0000 0.2500
Tl 0.5977 0.5977 0.7500

The value obtained for the energy above the most stable polymorph in this dataset is 9.1 meV/atom. Its formation energy is -300 meV per atom.


Density functional theory data (PBE) for a relaxed TbTl3 crystal.

Lattice parameters (Å, degrees): 4.7857 4.7857 4.7857 90.00 90.00 90.00
Element x y z (fractional)
Tb 0.0000 0.0000 0.0000
Tl 0.0000 0.5000 0.5000
Tl 0.5000 0.0000 0.5000
Tl 0.5000 0.5000 0.0000

Its formation energy is -250 meV per atom.


Density functional theory data (PBE) for a relaxed Tb3Tm crystal.

Lattice parameters (Å, degrees): 6.1440 6.1440 6.1440 131.92 131.92 70.36
Element x y z (fractional)
Tb 0.0000 0.0000 0.0000
Tb 0.2500 0.7500 0.5000
Tb 0.7500 0.2500 0.5000
Tm 0.5000 0.5000 0.0000

Its formation energy is 23 meV per atom.


Density functional theory data (PBE) for a relaxed Tb3Tm crystal.

Lattice parameters (Å, degrees): 5.0050 5.0050 5.0050 90.00 90.00 90.00
Element x y z (fractional)
Tb 0.0000 0.0000 0.5000
Tb 0.0000 0.5000 0.0000
Tb 0.5000 0.0000 0.0000
Tm 0.5000 0.5000 0.5000

Its formation energy is 22 meV per atom.


Density functional theory data (PBE) for a relaxed Tb3V crystal.

Lattice parameters (Å, degrees): 5.3796 5.3796 5.3796 60.00 60.00 60.00
Element x y z (fractional)
Tb 0.0000 0.0000 0.0000
Tb 0.2500 0.2500 0.2500
Tb 0.7500 0.7500 0.7500
V 0.5000 0.5000 0.5000

Its formation energy is 332 meV per atom. As for the total magnetization: 3.50 μB/f.u.


Density functional theory data (PBE) for a relaxed Tb3Y crystal.

Lattice parameters (Å, degrees): 5.0348 5.0348 5.0348 90.00 90.00 90.00
Element x y z (fractional)
Tb 0.0000 0.0000 0.5000
Tb 0.0000 0.5000 0.0000
Tb 0.5000 0.0000 0.0000
Y 0.5000 0.5000 0.5000

Its formation energy is 21 meV per atom.